VASP calculation (PBE) on an optimized crystal structure of Dy10Al4Ge11.

Output
Crystal system: monoclinic
Magnetic moment, μB per formula unit: 0.021
Energy of formation from the pure elements, meV/atom: -728
Space-group type: C2/m (12)

Unit cell a=5.6258 b=5.6258 c=24.8103 alpha=81.42 beta=81.42 gamma=43.89
With the nearest neighbours (Å) after each atom.
Fractional coordinates of all 25 atoms:
Ge (0.0134, 0.0134, 0.7432)  1 Ge 2.58, 2 Al 2.69
Ge (0.9866, 0.9866, 0.2568)  1 Ge 2.58, 2 Al 2.69
Ge (0.7891, 0.7891, 0.8561)  1 Ge 2.53, 2 Al 2.69
Ge (0.5870, 0.5870, 0.4569)  1 Ge 2.57, 2 Al 2.70
Ge (0.3815, 0.3815, 0.0592)  3 Ge 2.53-2.74
Ge (0.2109, 0.2109, 0.1439)  1 Ge 2.53, 2 Al 2.69
Ge (0.0000, 0.0000, 0.0000)  4 Ge 2.74
Ge (0.1870, 0.1870, 0.6568)  1 Ge 2.58, 2 Al 2.69
Ge (0.6185, 0.6185, 0.9408)  3 Ge 2.53-2.74
Ge (0.8130, 0.8130, 0.3432)  1 Ge 2.58, 2 Al 2.69
Ge (0.4130, 0.4130, 0.5431)  1 Ge 2.57, 2 Al 2.70
Dy (0.0733, 0.0733, 0.8573)  6 Ge 2.97-3.08, 2 Al 3.24
Dy (0.3303, 0.3303, 0.9430)  8 Ge 3.00-3.22
Dy (0.8730, 0.8730, 0.4578)  6 Ge 2.99-3.07, 2 Al 3.25
Dy (0.5273, 0.5273, 0.3421)  6 Ge 2.99-3.07, 2 Al 3.25
Dy (0.9267, 0.9267, 0.1427)  6 Ge 2.97-3.08, 2 Al 3.24
Dy (0.2730, 0.2730, 0.2575)  6 Ge 2.99-3.07, 2 Al 3.25
Dy (0.4727, 0.4727, 0.6579)  6 Ge 2.99-3.07, 2 Al 3.25
Dy (0.7270, 0.7270, 0.7425)  6 Ge 2.99-3.07, 2 Al 3.25
Dy (0.6697, 0.6697, 0.0570)  8 Ge 3.00-3.22
Dy (0.1270, 0.1270, 0.5422)  6 Ge 2.99-3.07, 2 Al 3.25
Al (0.4008, 0.4008, 0.7997)  4 Ge 2.69
Al (0.5992, 0.5992, 0.2003)  4 Ge 2.69
Al (0.8001, 0.8001, 0.6002)  4 Ge 2.69-2.70
Al (0.1999, 0.1999, 0.3998)  4 Ge 2.69-2.70

=====

VASP calculation (PBE) on an optimized crystal structure of DyAl2Ge2.

Output
Crystal system: trigonal
Energy of formation from the pure elements, meV/atom: -411
Space-group type: P-3m1 (164)

Unit cell a=4.2923 b=4.2923 c=6.5872 alpha=90.00 beta=90.00 gamma=120.00
With the nearest neighbours (Å) after each atom.
Fractional coordinates of all 5 atoms:
Al (0.6667, 0.3333, 0.3555)  4 Ge 2.55-2.56
Al (0.3333, 0.6667, 0.6445)  4 Ge 2.55-2.56
Dy (0.0000, 0.0000, 0.0000)  6 Ge 3.00
Ge (0.3333, 0.6667, 0.2574)  4 Al 2.55-2.56
Ge (0.6667, 0.3333, 0.7426)  4 Al 2.55-2.56

=====

VASP calculation (PBE) on an optimized crystal structure of Dy2Al9Ir3.

Output
Crystal system: orthorhombic
Energy of formation from the pure elements, meV/atom: -866
Space-group type: Cmcm (63)

Unit cell a=7.5489 b=7.5489 c=9.4710 alpha=90.00 beta=90.00 gamma=119.46
With the nearest neighbours (Å) after each atom.
Fractional coordinates of all 28 atoms:
Al (0.6656, 0.9985, 0.0738)  3 Ir 2.57-2.62, 3 Al 2.76-2.79
Al (0.3344, 0.0015, 0.9262)  3 Ir 2.57-2.62, 3 Al 2.76-2.79
Al (0.9985, 0.6656, 0.0738)  3 Ir 2.57-2.62, 3 Al 2.76-2.79
Al (0.0015, 0.3344, 0.9262)  3 Ir 2.57-2.62, 3 Al 2.76-2.79
Al (0.9985, 0.6656, 0.4262)  3 Ir 2.57-2.62, 3 Al 2.76-2.79
Al (0.1274, 0.1274, 0.7500)  2 Ir 2.56, 6 Al 2.75-2.76
Al (0.3338, 0.3338, 0.0540)  3 Ir 2.59-2.62, 5 Al 2.73-2.86
Al (0.4542, 0.6622, 0.2500)  2 Ir 2.57, 6 Al 2.71-2.86
Al (0.6662, 0.6662, 0.9460)  3 Ir 2.59-2.62, 5 Al 2.73-2.86
Al (0.0015, 0.3344, 0.5738)  3 Ir 2.57-2.62, 3 Al 2.76-2.79
Al (0.6622, 0.4542, 0.2500)  2 Ir 2.57, 6 Al 2.71-2.86
Al (0.5458, 0.3378, 0.7500)  2 Ir 2.57, 6 Al 2.71-2.86
Al (0.8726, 0.8726, 0.2500)  2 Ir 2.56, 6 Al 2.75-2.76
Al (0.3378, 0.5458, 0.7500)  2 Ir 2.57, 6 Al 2.71-2.86
Al (0.6662, 0.6662, 0.5540)  3 Ir 2.59-2.62, 5 Al 2.73-2.86
Al (0.3344, 0.0015, 0.5738)  3 Ir 2.57-2.62, 3 Al 2.76-2.79
Al (0.6656, 0.9985, 0.4262)  3 Ir 2.57-2.62, 3 Al 2.76-2.79
Al (0.3338, 0.3338, 0.4460)  3 Ir 2.59-2.62, 5 Al 2.73-2.86
Ir (0.0000, 0.0000, 0.5000)  8 Al 2.56-2.61
Ir (0.6716, 0.3284, 0.0000)  8 Al 2.57-2.62
Ir (0.3284, 0.6716, 0.0000)  8 Al 2.57-2.62
Ir (0.6716, 0.3284, 0.5000)  8 Al 2.57-2.62
Ir (0.0000, 0.0000, 0.0000)  8 Al 2.56-2.61
Ir (0.3284, 0.6716, 0.5000)  8 Al 2.57-2.62
Dy (0.6690, 0.9953, 0.7500)  11 Al 3.05-3.15
Dy (0.0047, 0.3310, 0.2500)  11 Al 3.05-3.15
Dy (0.3310, 0.0047, 0.2500)  11 Al 3.05-3.15
Dy (0.9953, 0.6690, 0.7500)  11 Al 3.05-3.15

=====

VASP calculation (PBE) on an optimized crystal structure of LiDy2Al.

Output
Crystal system: cubic
Energy of formation from the pure elements, meV/atom: -209
Space-group type: Fm-3m (225)

Unit cell a=5.1465 b=5.1465 c=5.1465 alpha=60.00 beta=60.00 gamma=60.00
With the nearest neighbours (Å) after each atom.
Fractional coordinates of all 4 atoms:
Al (0.5000, 0.5000, 0.5000)  8 Dy 3.15
Dy (0.7500, 0.7500, 0.7500)  4 Al 3.15, 4 Li 3.15
Dy (0.2500, 0.2500, 0.2500)  4 Al 3.15, 4 Li 3.15
Li (0.0000, 0.0000, 0.0000)  8 Dy 3.15

=====

VASP calculation (PBE) on an optimized crystal structure of Dy2MgAl.

Output
Crystal system: cubic
Energy of formation from the pure elements, meV/atom: -269
Space-group type: Fm-3m (225)

Unit cell a=5.1998 b=5.1998 c=5.1998 alpha=60.00 beta=60.00 gamma=60.00
With the nearest neighbours (Å) after each atom.
Fractional coordinates of all 4 atoms:
Mg (0.0000, 0.0000, 0.0000)  8 Dy 3.18
Al (0.5000, 0.5000, 0.5000)  8 Dy 3.18
Dy (0.2500, 0.2500, 0.2500)  4 Al 3.18, 4 Mg 3.18
Dy (0.7500, 0.7500, 0.7500)  4 Al 3.18, 4 Mg 3.18

=====

VASP calculation (PBE) on an optimized crystal structure of DyMn6Al6.

Output
Crystal system: orthorhombic
Magnetic moment, μB per formula unit: 7.022
Energy of formation from the pure elements, meV/atom: -244
Space-group type: Immm (71)

Unit cell a=6.6283 b=6.6283 c=6.6283 alpha=136.54 beta=98.78 gamma=96.98
With the nearest neighbours (Å) after each atom.
Fractional coordinates of all 13 atoms:
Al (0.2000, 0.7000, 0.5000)  6 Mn 2.52-2.68, 2 Al 2.78
Al (0.6633, 0.0000, 0.6633)  6 Mn 2.61-2.62, 1 Al 2.82, 1 Dy 2.91
Al (0.3367, 0.0000, 0.3367)  6 Mn 2.61-2.62, 1 Al 2.82, 1 Dy 2.91
Al (0.8000, 0.3000, 0.5000)  6 Mn 2.52-2.68, 2 Al 2.78
Al (0.3478, 0.3478, 0.0000)  6 Mn 2.63-2.66, 3 Al 2.67-2.78
Al (0.6522, 0.6522, 0.0000)  6 Mn 2.63-2.66, 3 Al 2.67-2.78
Mn (0.0000, 0.5000, 0.0000)  4 Mn 2.45-2.52, 6 Al 2.52-2.63
Mn (0.0000, 0.0000, 0.5000)  4 Mn 2.45-2.52, 6 Al 2.52-2.63
Mn (0.7658, 0.5000, 0.2658)  4 Mn 2.52, 6 Al 2.61-2.68
Mn (0.2342, 0.5000, 0.7342)  4 Mn 2.52, 6 Al 2.61-2.68
Mn (0.5000, 0.5000, 0.5000)  4 Mn 2.45-2.52, 6 Al 2.52-2.63
Mn (0.5000, 0.0000, 0.0000)  4 Mn 2.45-2.52, 6 Al 2.52-2.63
Dy (0.0000, 0.0000, 0.0000)  8 Al 2.91-3.06, 4 Mn 3.18

=====

VASP calculation (PBE) on an optimized crystal structure of DyMnAl.

Output
Crystal system: orthorhombic
Magnetic moment, μB per formula unit: 2.596
Energy of formation from the pure elements, meV/atom: -235
Space-group type: Imma (74)

Unit cell a=5.4155 b=5.4155 c=5.4155 alpha=119.51 beta=118.84 gamma=91.44
With the nearest neighbours (Å) after each atom.
Fractional coordinates of all 6 atoms:
Mn (0.5000, 0.5000, 0.5000)  4 Al 2.71, 2 Mn 2.73
Mn (0.5000, 0.0000, 0.0000)  4 Al 2.71, 2 Mn 2.73
Dy (0.8703, 0.1203, 0.7500)  6 Mn 3.11-3.23, 6 Al 3.18-3.19, 4 Dy 3.30-3.36
Dy (0.1297, 0.8797, 0.2500)  6 Mn 3.11-3.23, 6 Al 3.18-3.19, 4 Dy 3.30-3.36
Al (0.5000, 0.5000, 0.0000)  4 Mn 2.71, 2 Al 2.76
Al (0.0000, 0.5000, 0.5000)  4 Mn 2.71, 2 Al 2.76

=====

VASP calculation (PBE) on an optimized crystal structure of Dy3MnAlS7.

Output
Crystal system: hexagonal
Magnetic moment, μB per formula unit: 0.033
Energy of formation from the pure elements, meV/atom: -1855
Space-group type: P6_3 (173)

Unit cell a=9.5493 b=9.5493 c=6.1231 alpha=90.00 beta=90.00 gamma=120.00
With the nearest neighbours (Å) after each atom.
Fractional coordinates of all 24 atoms:
Dy (0.2242, 0.8492, 0.2264)  7 S 2.72-2.94
Dy (0.3750, 0.2242, 0.7264)  7 S 2.72-2.94
Dy (0.7758, 0.1508, 0.7264)  7 S 2.72-2.94
Dy (0.1508, 0.3750, 0.2264)  7 S 2.72-2.94
Dy (0.8492, 0.6250, 0.7264)  7 S 2.72-2.94
Dy (0.6250, 0.7758, 0.2264)  7 S 2.72-2.94
S (0.5714, 0.4818, 0.0008)  1 Al 2.24
S (0.4286, 0.5182, 0.5008)  1 Al 2.24
S (0.2209, 0.1257, 0.3216)  2 Mn 2.37-2.41
S (0.5182, 0.0896, 0.0008)  1 Al 2.24
S (0.1257, 0.9049, 0.8216)  2 Mn 2.37-2.41
S (0.4818, 0.9104, 0.5008)  1 Al 2.24
S (0.8743, 0.0951, 0.3216)  2 Mn 2.37-2.41
S (0.0951, 0.2209, 0.8216)  2 Mn 2.37-2.41
S (0.9104, 0.4286, 0.0008)  1 Al 2.24
S (0.7791, 0.8743, 0.8216)  2 Mn 2.37-2.41
S (0.6667, 0.3333, 0.5182)  1 Al 2.22
S (0.0896, 0.5714, 0.5008)  1 Al 2.24
S (0.3333, 0.6667, 0.0182)  1 Al 2.22
S (0.9049, 0.7791, 0.3216)  2 Mn 2.37-2.41
Al (0.3333, 0.6667, 0.6556)  4 S 2.22-2.24
Al (0.6667, 0.3333, 0.1556)  4 S 2.22-2.24
Mn (0.0000, 0.0000, 0.5659)  6 S 2.37-2.41
Mn (0.0000, 0.0000, 0.0659)  6 S 2.37-2.41

=====

VASP calculation (PBE) on an optimized crystal structure of Dy3AlN.

Output
Crystal system: cubic
Energy of formation from the pure elements, meV/atom: -990
Space-group type: Pm-3m (221)

Unit cell a=4.7739 b=4.7739 c=4.7739 alpha=90.00 beta=90.00 gamma=90.00
With the nearest neighbours (Å) after each atom.
Fractional coordinates of all 5 atoms:
Dy (0.5000, 0.5000, 0.0000)  2 N 2.39
Dy (0.0000, 0.5000, 0.5000)  2 N 2.39
Dy (0.5000, 0.0000, 0.5000)  2 N 2.39
N (0.5000, 0.5000, 0.5000)  6 Dy 2.39
Al (0.0000, 0.0000, 0.0000)  12 Dy 3.38

=====

VASP calculation (PBE) on an optimized crystal structure of DyAlNi.

Output
Crystal system: orthorhombic
Magnetic moment, μB per formula unit: 0.000
Energy of formation from the pure elements, meV/atom: -510
Space-group type: Amm2 (38)

Unit cell a=5.2818 b=5.2821 c=8.6252 alpha=90.00 beta=90.00 gamma=61.45
With the nearest neighbours (Å) after each atom.
Fractional coordinates of all 12 atoms:
Ni (0.3392, 0.8497, 0.7500)  2 Al 2.51-2.78, 4 Ni 2.64-2.77
Ni (0.9929, 0.9928, 0.4886)  4 Al 2.56-2.57, 2 Ni 2.77
Ni (0.8496, 0.3393, 0.7500)  2 Al 2.51-2.78, 4 Ni 2.64-2.77
Ni (0.9929, 0.9928, 0.0114)  4 Al 2.56-2.57, 2 Ni 2.77
Al (0.1628, 0.1628, 0.2500)  2 Ni 2.57, 4 Al 2.64-2.65
Al (0.1606, 0.6648, 0.2500)  2 Ni 2.56, 4 Al 2.64-2.72
Al (0.6649, 0.1606, 0.2500)  2 Ni 2.56, 4 Al 2.64-2.72
Al (0.8599, 0.8599, 0.7500)  6 Ni 2.51-2.78
Dy (0.6592, 0.6591, 0.0403)  5 Ni 2.92-3.10, 7 Al 3.10-3.25, 3 Dy 3.14-3.25
Dy (0.3294, 0.3294, 0.5677)  7 Ni 2.96-3.19, 5 Al 3.13-3.15, 4 Dy 3.14-3.25
Dy (0.3294, 0.3294, 0.9323)  7 Ni 2.96-3.19, 5 Al 3.13-3.15, 4 Dy 3.14-3.25
Dy (0.6592, 0.6591, 0.4597)  5 Ni 2.92-3.10, 7 Al 3.10-3.25, 3 Dy 3.14-3.25

=====

VASP calculation (PBE) on an optimized crystal structure of DyAl3Ni2.

Output
Crystal system: hexagonal
Energy of formation from the pure elements, meV/atom: -658
Space-group type: P6/mmm (191)

Unit cell a=9.0215 b=9.0215 c=4.0496 alpha=90.00 beta=90.00 gamma=120.00
With the nearest neighbours (Å) after each atom.
Fractional coordinates of all 18 atoms:
Al (0.2975, 0.0000, 0.5000)  4 Ni 2.48, 4 Al 2.68-2.73
Al (0.0000, 0.7025, 0.5000)  4 Ni 2.48, 4 Al 2.68-2.73
Al (0.0000, 0.2975, 0.5000)  4 Ni 2.48, 4 Al 2.68-2.73
Al (0.7025, 0.0000, 0.5000)  4 Ni 2.48, 4 Al 2.68-2.73
Al (0.0000, 0.5000, 0.0000)  4 Ni 2.50, 4 Al 2.73
Al (0.2975, 0.2975, 0.5000)  4 Ni 2.48, 4 Al 2.68-2.73
Al (0.7025, 0.7025, 0.5000)  4 Ni 2.48, 4 Al 2.68-2.73
Al (0.5000, 0.0000, 0.0000)  4 Ni 2.50, 4 Al 2.73
Al (0.5000, 0.5000, 0.0000)  4 Ni 2.50, 4 Al 2.73
Ni (0.3626, 0.1813, 0.0000)  6 Al 2.48-2.50
Ni (0.1813, 0.3626, 0.0000)  6 Al 2.48-2.50
Ni (0.6374, 0.8187, 0.0000)  6 Al 2.48-2.50
Ni (0.8187, 0.1813, 0.0000)  6 Al 2.48-2.50
Ni (0.8187, 0.6374, 0.0000)  6 Al 2.48-2.50
Ni (0.1813, 0.8187, 0.0000)  6 Al 2.48-2.50
Dy (0.3333, 0.6667, 0.5000)  6 Ni 3.12, 12 Al 3.18-3.30
Dy (0.0000, 0.0000, 0.0000)  6 Ni 2.83
Dy (0.6667, 0.3333, 0.5000)  6 Ni 3.12, 12 Al 3.18-3.30

=====

VASP calculation (PBE) on an optimized crystal structure of Dy2AlNi2.

Output
Crystal system: orthorhombic
Energy of formation from the pure elements, meV/atom: -542
Space-group type: Immm (71)

Unit cell a=4.0703 b=5.4196 c=5.4196 alpha=60.78 beta=67.94 gamma=67.94
With the nearest neighbours (Å) after each atom.
Fractional coordinates of all 5 atoms:
Al (0.0000, 0.0000, 0.0000)  4 Ni 2.54
Dy (0.2053, 0.2947, 0.2947)  6 Ni 2.91-2.94, 4 Al 3.21-3.24
Dy (0.7947, 0.7053, 0.7053)  6 Ni 2.91-2.94, 4 Al 3.21-3.24
Ni (0.5000, 0.2768, 0.7232)  1 Ni 2.45, 2 Al 2.54
Ni (0.5000, 0.7232, 0.2768)  1 Ni 2.45, 2 Al 2.54

=====

Q: Which formula does entry 8 have?
A: Dy3MnAlS7